(1)
Below is a geometry-optimized ZrUCN structure, with properties calculated at the PBE level.

Results
- E (MP2020): -10.47 eV per atom
- Energy of formation from the pure elements: -4.5 eV/f.u.

The structure in CIF format:
```
data_ZrUCN
_chemical_formula_sum 'Zr3 U3 C3 N3'
_cell_length_a 3.3604
_cell_length_b 3.3604
_cell_length_c 16.8348
_cell_angle_alpha 90.00
_cell_angle_beta 90.00
_cell_angle_gamma 120.00
_symmetry_space_group_name_H-M 'R 3 m'
_symmetry_Int_Tables_number 160
_symmetry_space_group_name_Hall 'R 3 -2"'
loop_
_atom_site_label
_atom_site_type_symbol
_atom_site_fract_x
_atom_site_fract_y
_atom_site_fract_z
Zr1 Zr 0.0000 0.0000 0.0000
U1 U 0.0000 0.0000 0.5004
C1 C 0.0000 0.0000 0.7487
N1 N 0.0000 0.0000 0.2530
```



(2)
Below is a geometry-optimized NdPt3 structure, with properties calculated at the PBE level.

Results
- Energy of formation from the pure elements: -3.4 eV/f.u.

The structure in CIF format:
```
data_NdPt3
_chemical_formula_sum 'Nd1 Pt3'
_cell_length_a 4.208
_cell_length_b 4.208
_cell_length_c 4.208
_cell_angle_alpha 90.00
_cell_angle_beta 90.00
_cell_angle_gamma 90.00
_symmetry_space_group_name_H-M 'P m -3 m'
_symmetry_Int_Tables_number 221
_symmetry_space_group_name_Hall '-P 4 2 3'
loop_
_atom_site_label
_atom_site_type_symbol
_atom_site_fract_x
_atom_site_fract_y
_atom_site_fract_z
Nd1 Nd 0.000 0.000 0.000
Pt1 Pt 0.000 0.500 0.500
```



(3)
Below is a geometry-optimized Rb3YCl6 structure, with properties calculated at the PBE level.

Results
- E (MP2020): -4.50 eV per atom
- Energy of formation from the pure elements: -24.5 eV/f.u.

The structure in CIF format:
```
data_Rb3YCl6
_chemical_formula_sum 'Rb12 Y4 Cl24'
_cell_length_a 11.515
_cell_length_b 11.515
_cell_length_c 11.515
_cell_angle_alpha 90.00
_cell_angle_beta 90.00
_cell_angle_gamma 90.00
_symmetry_space_group_name_H-M 'F m -3 m'
_symmetry_Int_Tables_number 225
_symmetry_space_group_name_Hall '-F 4 2 3'
loop_
_atom_site_label
_atom_site_type_symbol
_atom_site_fract_x
_atom_site_fract_y
_atom_site_fract_z
Rb1 Rb 0.000 0.000 0.000
Rb2 Rb 0.250 0.250 0.250
Y1 Y 0.000 0.000 0.500
Cl1 Cl 0.000 0.000 0.271
```